(A)
A plane-wave DFT calculation with PBE was carried out for a geometry-optimized Mg6VC structure.

For the volume, the calculation gives 154.1 Å³/f.u. The total magnetization comes out at 6.34 μB per cell.

a = 4.5393 Å, b = 5.7757 Å, c = 11.7542 Å
α = 90.00°, β = 90.00°, γ = 90.00°
Fractional coordinates of all 16 atoms:
V: 0.5000 0.0000 0.1809
V: 0.5000 0.5000 0.6809
Mg: 0.5000 0.7559 0.4423
Mg: 0.5000 0.2559 0.9423
Mg: 0.0000 0.0000 0.8197
Mg: 0.0000 0.2593 0.0943
Mg: 0.5000 0.7441 0.9423
Mg: 0.5000 0.2441 0.4423
Mg: 0.0000 0.0000 0.3277
Mg: 0.0000 0.7407 0.0943
Mg: 0.0000 0.5000 0.3197
Mg: 0.0000 0.2407 0.5943
Mg: 0.0000 0.7593 0.5943
Mg: 0.0000 0.5000 0.8277
C: 0.5000 0.5000 0.0984
C: 0.5000 0.0000 0.5984

=====

(B)
A plane-wave DFT calculation with PBE was carried out for a geometry-optimized Mg6VC structure.

For the volume, the calculation gives 158.7 Å³/f.u. The total magnetization comes out at 0.50 μB per cell.

a = 7.1720 Å, b = 7.1720 Å, c = 3.0917 Å
α = 90.00°, β = 90.00°, γ = 93.41°
Fractional coordinates of all 8 atoms:
Mg: 0.4636 0.2200 0.0000
Mg: 0.0887 0.9113 0.5000
Mg: 0.7800 0.5364 0.0000
Mg: 0.3436 0.6564 0.0000
Mg: 0.1140 0.3624 0.5000
Mg: 0.6376 0.8860 0.5000
C: 0.7318 0.2682 0.5000
V: 0.8407 0.1593 0.0000

=====

Energies in kJ/mol of atoms, measured from the most stable structure: (A) 40.7; (B) 0.0.